# 1
# CdTeO3 | Materials Project | r2SCAN | relaxed
# Magnetization = 0.0 μB per formula unit
# Electronic total energy = -558.0 eV for the cell shown
# Symmetry = P2_1/c (14)
# Formation energy = -1.261 eV per atom
data_CdTeO3
_chemical_formula_sum 'Cd8 Te8 O24'
_cell_length_a 7.832
_cell_length_b 11.307
_cell_length_c 7.452
_cell_angle_alpha 90.00
_cell_angle_beta 113.55
_cell_angle_gamma 90.00
_space_group_name_H-M_alt 'P 1'
_space_group_IT_number 1
loop_
_space_group_symop_operation_xyz
'x,y,z'
loop_
_atom_site_label
_atom_site_fract_x
_atom_site_fract_y
_atom_site_fract_z
Cd1 0.003 0.233 0.475
Cd2 0.003 0.267 0.975
Cd3 0.269 0.009 0.809
Cd4 0.269 0.491 0.309
Cd5 0.731 0.509 0.691
Cd6 0.731 0.991 0.191
Cd7 0.997 0.733 0.025
Cd8 0.997 0.767 0.525
Te1 0.168 0.000 0.260
Te2 0.168 0.500 0.760
Te3 0.496 0.745 0.376
Te4 0.496 0.755 0.876
Te5 0.504 0.245 0.124
Te6 0.504 0.255 0.624
Te7 0.832 0.000 0.740
Te8 0.832 0.500 0.240
O1 0.007 0.629 0.762
O2 0.007 0.871 0.262
O3 0.047 0.590 0.385
O4 0.047 0.910 0.885
O5 0.195 0.076 0.494
O6 0.195 0.424 0.994
O7 0.299 0.180 0.158
O8 0.299 0.320 0.658
O9 0.303 0.668 0.168
O10 0.303 0.832 0.668
O11 0.488 0.627 0.557
O12 0.488 0.873 0.057
O13 0.512 0.127 0.943
O14 0.512 0.373 0.443
O15 0.697 0.168 0.332
O16 0.697 0.332 0.832
O17 0.701 0.680 0.342
O18 0.701 0.820 0.842
O19 0.805 0.576 0.006
O20 0.805 0.924 0.506
O21 0.953 0.090 0.115
O22 0.953 0.410 0.615
O23 0.993 0.129 0.738
O24 0.993 0.371 0.238

***

# 2
# TiPRu | Materials Project | r2SCAN | relaxed
# Magnetization = 0.0 μB per formula unit
# Electronic total energy = -151.8 eV for the cell shown
# Symmetry = P-62m (189)
# Formation energy = -1.080 eV per atom
data_TiPRu
_chemical_formula_sum 'Ti3 P3 Ru3'
_cell_length_a 6.233
_cell_length_b 6.233
_cell_length_c 3.656
_cell_angle_alpha 90.00
_cell_angle_beta 90.00
_cell_angle_gamma 120.00
_space_group_name_H-M_alt 'P 1'
_space_group_IT_number 1
loop_
_space_group_symop_operation_xyz
'x,y,z'
loop_
_atom_site_label
_atom_site_fract_x
_atom_site_fract_y
_atom_site_fract_z
Ti1 0.000 0.584 0.000
Ti2 0.416 0.416 0.000
Ti3 0.584 0.000 0.000
P1 0.000 0.000 0.000
P2 0.333 0.667 0.500
P3 0.667 0.333 0.500
Ru1 0.000 0.251 0.500
Ru2 0.251 0.000 0.500
Ru3 0.749 0.749 0.500

***

# 3
# Er5Mg24 | Materials Project | r2SCAN | relaxed
# Magnetization = 0.0 μB per formula unit
# Electronic total energy = -270.7 eV for the cell shown
# Symmetry = I-43m (217)
# Formation energy = -0.035 eV per atom
data_Er5Mg24
_chemical_formula_sum 'Er5 Mg24'
_cell_length_a 9.672
_cell_length_b 9.672
_cell_length_c 9.672
_cell_angle_alpha 109.47
_cell_angle_beta 109.47
_cell_angle_gamma 109.47
_space_group_name_H-M_alt 'P 1'
_space_group_IT_number 1
loop_
_space_group_symop_operation_xyz
'x,y,z'
loop_
_atom_site_label
_atom_site_fract_x
_atom_site_fract_y
_atom_site_fract_z
Er1 0.000 0.000 0.000
Er2 0.000 0.000 0.373
Er3 0.000 0.373 0.000
Er4 0.373 0.000 0.000
Er5 0.627 0.627 0.627
Mg1 0.000 0.323 0.611
Mg2 0.000 0.611 0.323
Mg3 0.000 0.630 0.810
Mg4 0.000 0.810 0.630
Mg5 0.179 0.370 0.370
Mg6 0.190 0.190 0.821
Mg7 0.190 0.821 0.190
Mg8 0.287 0.677 0.677
Mg9 0.323 0.000 0.611
Mg10 0.323 0.611 0.000
Mg11 0.370 0.179 0.370
Mg12 0.370 0.370 0.179
Mg13 0.389 0.389 0.713
Mg14 0.389 0.713 0.389
Mg15 0.611 0.000 0.323
Mg16 0.611 0.323 0.000
Mg17 0.630 0.000 0.810
Mg18 0.630 0.810 0.000
Mg19 0.677 0.287 0.677
Mg20 0.677 0.677 0.287
Mg21 0.713 0.389 0.389
Mg22 0.810 0.000 0.630
Mg23 0.810 0.630 0.000
Mg24 0.821 0.190 0.190

***

# 4
# Zr6Be15Cu8 | Materials Project | r2SCAN | relaxed
# Magnetization = 0.0 μB per formula unit
# Electronic total energy = -296.4 eV for the cell shown
# Symmetry = Fm-3m (225)
# Formation energy = -0.278 eV per atom
data_Zr6Be15Cu8
_chemical_formula_sum 'Zr6 Be15 Cu8'
_cell_length_a 7.868
_cell_length_b 7.868
_cell_length_c 7.868
_cell_angle_alpha 60.00
_cell_angle_beta 60.00
_cell_angle_gamma 60.00
_space_group_name_H-M_alt 'P 1'
_space_group_IT_number 1
loop_
_space_group_symop_operation_xyz
'x,y,z'
loop_
_atom_site_label
_atom_site_fract_x
_atom_site_fract_y
_atom_site_fract_z
Zr1 0.205 0.205 0.795
Zr2 0.205 0.795 0.205
Zr3 0.205 0.795 0.795
Zr4 0.795 0.205 0.205
Zr5 0.795 0.205 0.795
Zr6 0.795 0.795 0.205
Be1 0.000 0.000 0.500
Be2 0.000 0.500 0.000
Be3 0.000 0.500 0.500
Be4 0.177 0.177 0.177
Be5 0.177 0.177 0.470
Be6 0.177 0.470 0.177
Be7 0.470 0.177 0.177
Be8 0.500 0.000 0.000
Be9 0.500 0.000 0.500
Be10 0.500 0.500 0.000
Be11 0.500 0.500 0.500
Be12 0.530 0.823 0.823
Be13 0.823 0.530 0.823
Be14 0.823 0.823 0.530
Be15 0.823 0.823 0.823
Cu1 0.130 0.623 0.623
Cu2 0.377 0.377 0.377
Cu3 0.377 0.377 0.870
Cu4 0.377 0.870 0.377
Cu5 0.623 0.130 0.623
Cu6 0.623 0.623 0.130
Cu7 0.623 0.623 0.623
Cu8 0.870 0.377 0.377

***

# 5
# HoCo3B2 | Materials Project | r2SCAN | relaxed
# Magnetization = 0.0 μB per formula unit
# Electronic total energy = -89.8 eV for the cell shown
# Symmetry = P6/mmm (191)
# Formation energy = -0.427 eV per atom
data_HoCo3B2
_chemical_formula_sum 'Ho1 Co3 B2'
_cell_length_a 4.967
_cell_length_b 4.967
_cell_length_c 2.969
_cell_angle_alpha 90.00
_cell_angle_beta 90.00
_cell_angle_gamma 120.00
_space_group_name_H-M_alt 'P 1'
_space_group_IT_number 1
loop_
_space_group_symop_operation_xyz
'x,y,z'
loop_
_atom_site_label
_atom_site_fract_x
_atom_site_fract_y
_atom_site_fract_z
Ho1 0.000 0.000 0.000
Co1 0.000 0.500 0.500
Co2 0.500 0.000 0.500
Co3 0.500 0.500 0.500
B1 0.333 0.667 0.000
B2 0.667 0.333 0.000

***

# 6
# GdLuRu2 | Materials Project | r2SCAN | relaxed
# Magnetization = 1.0 μB per formula unit
# Electronic total energy = -129.0 eV for the cell shown
# Symmetry = Fm-3m (225)
# Formation energy = 0.822 eV per atom
data_GdLuRu2
_chemical_formula_sum 'Gd1 Lu1 Ru2'
_cell_length_a 4.743
_cell_length_b 4.743
_cell_length_c 4.743
_cell_angle_alpha 60.00
_cell_angle_beta 60.00
_cell_angle_gamma 60.00
_space_group_name_H-M_alt 'P 1'
_space_group_IT_number 1
loop_
_space_group_symop_operation_xyz
'x,y,z'
loop_
_atom_site_label
_atom_site_fract_x
_atom_site_fract_y
_atom_site_fract_z
Gd1 0.000 0.000 0.000
Lu1 0.500 0.500 0.500
Ru1 0.250 0.250 0.250
Ru2 0.750 0.750 0.750

***

# 7
# Ca5CdCu2 | Materials Project | r2SCAN | relaxed
# Magnetization = 0.0 μB per formula unit
# Electronic total energy = -156.6 eV for the cell shown
# Symmetry = C2/m (12)
# Formation energy = -0.165 eV per atom
data_Ca5CdCu2
_chemical_formula_sum 'Ca10 Cd2 Cu4'
_cell_length_a 7.905
_cell_length_b 7.905
_cell_length_c 9.236
_cell_angle_alpha 115.30
_cell_angle_beta 115.30
_cell_angle_gamma 89.98
_space_group_name_H-M_alt 'P 1'
_space_group_IT_number 1
loop_
_space_group_symop_operation_xyz
'x,y,z'
loop_
_atom_site_label
_atom_site_fract_x
_atom_site_fract_y
_atom_site_fract_z
Ca1 0.000 0.500 0.500
Ca2 0.029 0.029 0.221
Ca3 0.191 0.529 0.221
Ca4 0.309 0.309 0.779
Ca5 0.471 0.809 0.779
Ca6 0.500 0.000 0.500
Ca7 0.529 0.191 0.221
Ca8 0.691 0.691 0.221
Ca9 0.809 0.471 0.779
Ca10 0.971 0.971 0.779
Cd1 0.250 0.750 0.000
Cd2 0.750 0.250 0.000
Cu1 0.111 0.889 0.500
Cu2 0.389 0.389 0.500
Cu3 0.611 0.611 0.500
Cu4 0.889 0.111 0.500

***

# 8
# Yb2Al3Ga | Materials Project | r2SCAN | relaxed
# Magnetization = 0.0 μB per formula unit
# Electronic total energy = -108.2 eV for the cell shown
# Symmetry = R-3m (166)
# Formation energy = -0.586 eV per atom
data_Yb2Al3Ga
_chemical_formula_sum 'Yb2 Al3 Ga1'
_cell_length_a 5.446
_cell_length_b 5.446
_cell_length_c 5.446
_cell_angle_alpha 59.86
_cell_angle_beta 59.86
_cell_angle_gamma 59.86
_space_group_name_H-M_alt 'P 1'
_space_group_IT_number 1
loop_
_space_group_symop_operation_xyz
'x,y,z'
loop_
_atom_site_label
_atom_site_fract_x
_atom_site_fract_y
_atom_site_fract_z
Yb1 0.124 0.124 0.124
Yb2 0.876 0.876 0.876
Al1 0.000 0.500 0.500
Al2 0.500 0.000 0.500
Al3 0.500 0.500 0.000
Ga1 0.500 0.500 0.500

***

# 9
# Lu2TlCd | Materials Project | r2SCAN | relaxed
# Magnetization = 0.0 μB per formula unit
# Electronic total energy = -150.9 eV for the cell shown
# Symmetry = Fm-3m (225)
# Formation energy = -0.360 eV per atom
data_Lu2TlCd
_chemical_formula_sum 'Lu2 Tl1 Cd1'
_cell_length_a 5.190
_cell_length_b 5.190
_cell_length_c 5.190
_cell_angle_alpha 60.00
_cell_angle_beta 60.00
_cell_angle_gamma 60.00
_space_group_name_H-M_alt 'P 1'
_space_group_IT_number 1
loop_
_space_group_symop_operation_xyz
'x,y,z'
loop_
_atom_site_label
_atom_site_fract_x
_atom_site_fract_y
_atom_site_fract_z
Lu1 0.250 0.250 0.250
Lu2 0.750 0.750 0.750
Tl1 0.000 0.000 0.000
Cd1 0.500 0.500 0.500

***

# 10
# Tm2Pt | Materials Project | r2SCAN | relaxed
# Magnetization = 0.0 μB per formula unit
# Electronic total energy = -500.1 eV for the cell shown
# Symmetry = Pnma (62)
# Formation energy = -1.102 eV per atom
data_Tm2Pt
_chemical_formula_sum 'Tm8 Pt4'
_cell_length_a 7.011
_cell_length_b 4.686
_cell_length_c 8.627
_cell_angle_alpha 90.00
_cell_angle_beta 90.00
_cell_angle_gamma 90.00
_space_group_name_H-M_alt 'P 1'
_space_group_IT_number 1
loop_
_space_group_symop_operation_xyz
'x,y,z'
loop_
_atom_site_label
_atom_site_fract_x
_atom_site_fract_y
_atom_site_fract_z
Tm1 0.010 0.250 0.167
Tm2 0.144 0.250 0.580
Tm3 0.356 0.750 0.080
Tm4 0.490 0.750 0.667
Tm5 0.510 0.250 0.333
Tm6 0.644 0.250 0.920
Tm7 0.856 0.750 0.420
Tm8 0.990 0.750 0.833
Pt1 0.241 0.250 0.906
Pt2 0.259 0.750 0.406
Pt3 0.741 0.250 0.594
Pt4 0.759 0.750 0.094

***

# 11
# Nd3Mg | Materials Project | r2SCAN | relaxed
# Magnetization = 1.1 μB per formula unit
# Electronic total energy = -92.5 eV for the cell shown
# Symmetry = Pm-3m (221)
# Formation energy = -0.014 eV per atom
data_Nd3Mg
_chemical_formula_sum 'Nd3 Mg1'
_cell_length_a 5.053
_cell_length_b 5.053
_cell_length_c 5.053
_cell_angle_alpha 90.00
_cell_angle_beta 90.00
_cell_angle_gamma 90.00
_space_group_name_H-M_alt 'P 1'
_space_group_IT_number 1
loop_
_space_group_symop_operation_xyz
'x,y,z'
loop_
_atom_site_label
_atom_site_fract_x
_atom_site_fract_y
_atom_site_fract_z
Nd1 0.000 0.000 0.500
Nd2 0.000 0.500 0.000
Nd3 0.500 0.000 0.000
Mg1 0.500 0.500 0.500

***

# 12
# SrEu2Al2O7 | Materials Project | r2SCAN | relaxed
# Magnetization = 12.0 μB per formula unit
# Electronic total energy = -186.3 eV for the cell shown
# Symmetry = I4/mmm (139)
# Formation energy = -3.240 eV per atom
data_SrEu2Al2O7
_chemical_formula_sum 'Sr1 Eu2 Al2 O7'
_cell_length_a 10.261
_cell_length_b 10.261
_cell_length_c 10.261
_cell_angle_alpha 159.10
_cell_angle_beta 159.10
_cell_angle_gamma 29.72
_space_group_name_H-M_alt 'P 1'
_space_group_IT_number 1
loop_
_space_group_symop_operation_xyz
'x,y,z'
loop_
_atom_site_label
_atom_site_fract_x
_atom_site_fract_y
_atom_site_fract_z
Sr1 0.000 0.000 0.000
Eu1 0.181 0.181 0.000
Eu2 0.819 0.819 0.000
Al1 0.405 0.405 0.000
Al2 0.595 0.595 0.000
O1 0.102 0.602 0.500
O2 0.300 0.300 0.000
O3 0.398 0.898 0.500
O4 0.500 0.500 0.000
O5 0.602 0.102 0.500
O6 0.700 0.700 0.000
O7 0.898 0.398 0.500

***

Question: Which formula does entry 7 have?
Answer: Ca5CdCu2

***

Question: electronic total energy of number 11 (Nd3Mg)?
Answer: -92.5 eV for the cell shown

***

Question: The highest magnetization belongs to which entry?
Answer: SrEu2Al2O7

***

What did the ninth record say?
# Lu2TlCd | Materials Project | r2SCAN | relaxed
# Magnetization = 0.0 μB per formula unit
# Electronic total energy = -150.9 eV for the cell shown
# Symmetry = Fm-3m (225)
# Formation energy = -0.360 eV per atom
data_Lu2TlCd
_chemical_formula_sum 'Lu2 Tl1 Cd1'
_cell_length_a 5.190
_cell_length_b 5.190
_cell_length_c 5.190
_cell_angle_alpha 60.00
_cell_angle_beta 60.00
_cell_angle_gamma 60.00
_space_group_name_H-M_alt 'P 1'
_space_group_IT_number 1
loop_
_space_group_symop_operation_xyz
'x,y,z'
loop_
_atom_site_label
_atom_site_fract_x
_atom_site_fract_y
_atom_site_fract_z
Lu1 0.250 0.250 0.250
Lu2 0.750 0.750 0.750
Tl1 0.000 0.000 0.000
Cd1 0.500 0.500 0.500